# 1
First-principles (GGA-PBE) data for a geometry-optimized Na3EuTi2Nb2O12 structure, as listed in the Materials Project.

Computed properties:
Energy relative to the elements, eV per atom: -3.0373
Offset from the most stable computed form, meV per atom: 28
Space group: Pm (6)

Cell: 5.533 15.626 5.615 Å, 90.00 90.12 90.00°
Positions (direct):
Na 0.000 0.000 0.000
Na 0.007 0.255 0.956
Na 0.007 0.745 0.956
Na 0.507 0.255 0.456
Na 0.507 0.745 0.456
Na 0.513 0.000 0.499
Eu 0.005 0.500 0.008
Eu 0.510 0.500 0.508
Ti 0.012 0.373 0.487
Ti 0.012 0.627 0.487
Ti 0.502 0.373 0.987
Ti 0.502 0.627 0.987
Nb 0.011 0.126 0.487
Nb 0.011 0.874 0.487
Nb 0.501 0.127 0.986
Nb 0.501 0.873 0.986
O 0.077 0.000 0.445
O 0.077 0.500 0.441
O 0.215 0.144 0.172
O 0.215 0.856 0.172
O 0.224 0.367 0.173
O 0.224 0.633 0.173
O 0.292 0.367 0.673
O 0.292 0.633 0.673
O 0.301 0.144 0.671
O 0.301 0.856 0.671
O 0.438 0.000 0.945
O 0.439 0.500 0.941
O 0.573 0.253 0.973
O 0.573 0.747 0.973
O 0.719 0.108 0.249
O 0.719 0.892 0.249
O 0.725 0.400 0.239
O 0.725 0.600 0.239
O 0.791 0.400 0.738
O 0.791 0.600 0.738
O 0.797 0.108 0.750
O 0.797 0.892 0.750
O 0.943 0.253 0.473
O 0.943 0.747 0.473



# 2
First-principles (GGA-PBE) data for a geometry-optimized NaEuTi8P12O48 structure, as listed in the Materials Project.

Computed properties:
Energy relative to the elements, eV per atom: -3.0446
Space group: P1 (1)

Cell: 8.528 8.838 12.283 Å, 92.80 90.01 90.05°
Positions (direct):
Na 0.000 0.000 0.000
Eu 0.500 0.500 0.500
Ti 0.000 0.710 0.144
Ti 0.000 0.724 0.639
Ti 0.001 0.276 0.362
Ti 0.001 0.290 0.856
Ti 0.500 0.775 0.863
Ti 0.500 0.800 0.349
Ti 0.501 0.200 0.651
Ti 0.501 0.225 0.137
P 0.136 0.648 0.892
P 0.147 0.365 0.607
P 0.214 0.003 0.244
P 0.283 0.499 0.256
P 0.352 0.134 0.894
P 0.362 0.849 0.609
P 0.639 0.151 0.391
P 0.648 0.866 0.106
P 0.717 0.501 0.745
P 0.786 0.997 0.757
P 0.854 0.636 0.393
P 0.864 0.353 0.109
O 0.046 0.289 0.515
O 0.052 0.717 0.795
O 0.087 0.481 0.900
O 0.087 0.917 0.178
O 0.092 0.737 0.998
O 0.101 0.298 0.716
O 0.136 0.538 0.611
O 0.137 0.107 0.333
O 0.179 0.174 0.915
O 0.183 0.849 0.621
O 0.185 0.617 0.200
O 0.187 0.411 0.338
O 0.315 0.886 0.304
O 0.317 0.652 0.878
O 0.319 0.091 0.167
O 0.323 0.326 0.583
O 0.363 0.395 0.168
O 0.370 0.962 0.885
O 0.403 0.202 0.785
O 0.406 0.758 0.502
O 0.414 0.016 0.599
O 0.415 0.582 0.324
O 0.449 0.774 0.701
O 0.455 0.210 0.985
O 0.545 0.790 0.016
O 0.552 0.226 0.299
O 0.585 0.418 0.676
O 0.587 0.985 0.401
O 0.594 0.242 0.499
O 0.597 0.798 0.215
O 0.630 0.039 0.115
O 0.638 0.605 0.833
O 0.678 0.675 0.418
O 0.682 0.909 0.833
O 0.684 0.348 0.123
O 0.686 0.114 0.696
O 0.814 0.589 0.663
O 0.816 0.383 0.801
O 0.818 0.151 0.379
O 0.821 0.826 0.085
O 0.863 0.893 0.667
O 0.865 0.462 0.389
O 0.900 0.703 0.285
O 0.908 0.263 0.002
O 0.913 0.083 0.823
O 0.913 0.520 0.100
O 0.949 0.283 0.205
O 0.954 0.711 0.485



# 3
First-principles (GGA-PBE) data for a geometry-optimized NaEuZrSbO6 structure, as listed in the Materials Project.

Computed properties:
Energy relative to the elements, eV per atom: -2.8051
Space group: F-43m (216)

Cell: 5.767 5.767 5.767 Å, 60.00 60.00 60.00°
Positions (direct):
Na 0.000 0.000 0.000
Eu 0.500 0.500 0.500
Zr 0.750 0.750 0.750
Sb 0.250 0.250 0.250
O 0.006 0.006 0.494
O 0.006 0.494 0.006
O 0.006 0.494 0.494
O 0.494 0.006 0.006
O 0.494 0.006 0.494
O 0.494 0.494 0.006



# 4
First-principles (GGA-PBE) data for a geometry-optimized NaEuTiSnO6 structure, as listed in the Materials Project.

Computed properties:
Energy relative to the elements, eV per atom: -2.6986
Space group: F-43m (216)

Cell: 5.643 5.643 5.643 Å, 60.00 60.00 60.00°
Positions (direct):
Na 0.000 0.000 0.000
Eu 0.500 0.500 0.500
Ti 0.750 0.750 0.750
Sn 0.250 0.250 0.250
O 0.506 0.506 0.994
O 0.506 0.994 0.506
O 0.506 0.994 0.994
O 0.994 0.506 0.506
O 0.994 0.506 0.994
O 0.994 0.994 0.506



# 5
First-principles (GGA-PBE) data for a geometry-optimized NaEuTi4O12 structure, as listed in the Materials Project.

Computed properties:
Energy relative to the elements, eV per atom: -2.4465
Space group: Amm2 (38)

Cell: 8.139 5.603 5.603 Å, 89.46 90.00 90.00°
Positions (direct):
Na 0.000 0.000 0.000
Eu 0.500 0.474 0.474
Ti 0.236 0.493 0.980
Ti 0.236 0.980 0.493
Ti 0.764 0.493 0.980
Ti 0.764 0.980 0.493
O 0.000 0.015 0.442
O 0.000 0.442 0.015
O 0.218 0.779 0.779
O 0.266 0.278 0.700
O 0.266 0.700 0.278
O 0.296 0.224 0.224
O 0.500 0.523 0.943
O 0.500 0.943 0.523
O 0.704 0.224 0.224
O 0.734 0.278 0.700
O 0.734 0.700 0.278
O 0.782 0.779 0.779



# 6
First-principles (GGA-PBE) data for a geometry-optimized Na2Eu2Ti3O10 structure, as listed in the Materials Project.

Computed properties:
Energy relative to the elements, eV per atom: -3.1613
Space group: I4/mmm (139)

Cell: 14.563 14.563 14.563 Å, 164.76 164.76 21.62°
Positions (direct):
Na 0.211 0.211 0.000
Na 0.789 0.789 0.000
Eu 0.076 0.076 0.000
Eu 0.924 0.924 0.000
Ti 0.353 0.353 0.000
Ti 0.500 0.500 0.000
Ti 0.647 0.647 0.000
O 0.000 0.500 0.500
O 0.133 0.633 0.500
O 0.292 0.292 0.000
O 0.367 0.867 0.500
O 0.432 0.432 0.000
O 0.500 0.000 0.500
O 0.568 0.568 0.000
O 0.633 0.133 0.500
O 0.708 0.708 0.000
O 0.867 0.367 0.500



# 7
First-principles (GGA-PBE) data for a geometry-optimized NaEuTiO4 structure, as listed in the Materials Project.

Computed properties:
Energy relative to the elements, eV per atom: -3.0871
Space group: Pbcm (57)

Cell: 12.846 5.401 5.320 Å, 90.00 90.00 90.00°
Positions (direct):
Na 0.085 0.002 0.250
Na 0.085 0.498 0.750
Na 0.915 0.502 0.250
Na 0.915 0.998 0.750
Eu 0.392 0.019 0.250
Eu 0.392 0.481 0.750
Eu 0.608 0.519 0.250
Eu 0.608 0.981 0.750
Ti 0.231 0.508 0.250
Ti 0.231 0.992 0.750
Ti 0.769 0.008 0.250
Ti 0.769 0.492 0.750
O 0.094 0.534 0.250
O 0.094 0.966 0.750
O 0.255 0.250 0.000
O 0.255 0.250 0.500
O 0.277 0.750 0.000
O 0.277 0.750 0.500
O 0.433 0.052 0.750
O 0.433 0.448 0.250
O 0.567 0.552 0.750
O 0.567 0.948 0.250
O 0.723 0.250 0.000
O 0.723 0.250 0.500
O 0.745 0.750 0.000
O 0.745 0.750 0.500
O 0.906 0.034 0.250
O 0.906 0.466 0.750



# 8
First-principles (GGA-PBE) data for a geometry-optimized Na4Eu2P4Pb structure, as listed in the Materials Project.

Computed properties:
Energy relative to the elements, eV per atom: -0.5233
Space group: Cc (9)

Cell: 9.652 9.652 7.261 Å, 90.99 90.99 120.05°
Positions (direct):
Na 0.057 0.341 0.480
Na 0.071 0.929 0.500
Na 0.133 0.672 0.813
Na 0.341 0.057 0.980
Na 0.342 0.495 0.967
Na 0.495 0.342 0.467
Na 0.672 0.133 0.313
Na 0.929 0.071 0.000
Eu 0.263 0.738 0.306
Eu 0.689 0.742 0.314
Eu 0.738 0.263 0.806
Eu 0.742 0.689 0.814
P 0.018 0.836 0.097
P 0.026 0.396 0.076
P 0.396 0.026 0.576
P 0.398 0.576 0.550
P 0.540 0.863 0.062
P 0.576 0.398 0.050
P 0.836 0.018 0.597
P 0.863 0.540 0.562
Pb 0.528 0.865 0.697
Pb 0.865 0.528 0.197



# 9
First-principles (GGA-PBE) data for a geometry-optimized Na4Eu2SnP4 structure, as listed in the Materials Project.

Computed properties:
Energy relative to the elements, eV per atom: -0.6171
Space group: Cc (9)

Cell: 9.550 9.550 7.238 Å, 90.92 90.92 120.12°
Positions (direct):
Na 0.071 0.929 0.500
Na 0.327 0.864 0.194
Na 0.507 0.659 0.037
Na 0.659 0.507 0.537
Na 0.659 0.943 0.522
Na 0.864 0.327 0.694
Na 0.929 0.071 0.000
Na 0.943 0.659 0.022
Eu 0.261 0.311 0.688
Eu 0.264 0.740 0.697
Eu 0.311 0.261 0.188
Eu 0.740 0.264 0.197
Sn 0.134 0.471 0.312
Sn 0.471 0.134 0.812
P 0.136 0.460 0.956
P 0.169 0.983 0.903
P 0.422 0.602 0.443
P 0.460 0.136 0.456
P 0.601 0.977 0.920
P 0.602 0.422 0.943
P 0.977 0.601 0.420
P 0.983 0.169 0.403



# 10
First-principles (GGA-PBE) data for a geometry-optimized NaEuSe2 structure, as listed in the Materials Project.

Computed properties:
Energy relative to the elements, eV per atom: -1.6155
Space group: P4/mmm (123)

Cell: 4.282 4.282 5.971 Å, 90.00 90.00 90.00°
Positions (direct):
Na 0.000 0.000 0.000
Eu 0.500 0.500 0.500
Se 0.000 0.000 0.500
Se 0.500 0.500 0.000



# 11
First-principles (GGA-PBE) data for a geometry-optimized Na3Eu2Si2Se6 structure, as listed in the Materials Project.

Computed properties:
Energy relative to the elements, eV per atom: -1.3194
Space group: C2/m (12)

Cell: 7.206 7.206 7.930 Å, 98.71 98.71 119.96°
Positions (direct):
Na 0.000 0.000 0.000
Na 0.327 0.673 0.000
Na 0.673 0.327 0.000
Eu 0.166 0.834 0.500
Eu 0.834 0.166 0.500
Si 0.449 0.449 0.344
Si 0.551 0.551 0.656
Se 0.105 0.419 0.255
Se 0.269 0.269 0.745
Se 0.419 0.105 0.255
Se 0.581 0.895 0.745
Se 0.731 0.731 0.255
Se 0.895 0.581 0.745



# 12
First-principles (GGA-PBE) data for a geometry-optimized Na3Eu2Si2Te6 structure, as listed in the Materials Project.

Computed properties:
Energy relative to the elements, eV per atom: -1.0248
Space group: C2/m (12)

Cell: 7.797 7.797 8.479 Å, 98.79 98.79 120.00°
Positions (direct):
Na 0.000 0.000 0.000
Na 0.332 0.668 0.000
Na 0.668 0.332 0.000
Eu 0.167 0.833 0.500
Eu 0.833 0.167 0.500
Si 0.452 0.452 0.353
Si 0.548 0.548 0.647
Te 0.101 0.419 0.256
Te 0.262 0.262 0.742
Te 0.419 0.101 0.256
Te 0.581 0.899 0.744
Te 0.738 0.738 0.258
Te 0.899 0.581 0.744



Q: Look up the energy relative to the elements of the fifth one.
A: -2.4465 eV per atom



Q: The highest energy relative to the elements belongs to which entry?
A: Na4Eu2P4Pb



Q: Among the records above, which one has the lowest energy relative to the elements?
A: Na2Eu2Ti3O10



Q: What is the energy relative to the elements in the tenth record?
A: -1.6155 eV per atom